1.
Material: Li2Cu2F7
Method: DFT, PBE
State: optimized geometry

Calculated values
ΔH_f (0 K): -2231 meV per atom
Polymorph energy (0 for the lowest one): 37 meV/atom

a = 13.3351 Å, b = 3.1242 Å, c = 8.3732 Å
α = 90.00°, β = 125.49°, γ = 90.00°
Space group Cm (No. 8)
Unique sites:
1 Li 0.0000 0.0000 0.0000
2 Li 0.0376 0.5000 0.4445
3 Cu 0.2108 0.0000 0.8048
4 Cu 0.2630 0.5000 0.2477
5 F 0.0850 0.5000 0.1214
6 F 0.0981 0.5000 0.7325
7 F 0.1582 0.0000 0.5433
8 F 0.2334 0.0000 0.0574
9 F 0.2918 0.0000 0.4062
10 F 0.3314 0.5000 0.8841
11 F 0.4281 0.5000 0.3367

***

2.
Material: Li2Cu3F8
Method: DFT, PBE
State: optimized geometry

Calculated values
ΔH_f (0 K): -2129 meV per atom
Polymorph energy (0 for the lowest one): 59 meV/atom

a = 5.5953 Å, b = 5.6298 Å, c = 5.6816 Å
α = 73.98°, β = 74.29°, γ = 65.01°
Space group P1 (No. 1)
Unique sites:
1 Li 0.0000 0.0000 0.0000
2 Li 0.2112 0.1931 0.3669
3 Cu 0.3502 0.5057 0.7556
4 Cu 0.6483 0.5527 0.1869
5 Cu 0.6946 0.8399 0.6175
6 F 0.3890 0.2547 0.5655
7 F 0.3890 0.2585 0.0486
8 F 0.4234 0.7676 0.9234
9 F 0.4306 0.7767 0.4499
10 F 0.8496 0.3424 0.4336
11 F 0.8708 0.3611 0.9377
12 F 0.9346 0.8274 0.3207
13 F 0.9470 0.8203 0.8002

***

3.
Material: Li5Cu3F14
Method: DFT, PBE
State: optimized geometry

Calculated values
ΔH_f (0 K): -2302 meV per atom

a = 6.9658 Å, b = 6.9658 Å, c = 9.6380 Å
α = 90.00°, β = 90.00°, γ = 90.00°
Space group P4/mnc (No. 128)
Unique sites:
1 Li 0.0000 0.0000 0.0000
2 Li 0.2297 0.2703 0.2500
3 Cu 0.0000 0.0000 0.5000
4 Cu 0.0000 0.5000 0.0000
5 F 0.0000 0.0000 0.3059
6 F 0.0361 0.6992 0.1369
7 F 0.1040 0.2480 0.5000

***

4.
Material: Li2CuF4
Method: DFT, PBE
State: optimized geometry

Calculated values
ΔH_f (0 K): -2553 meV per atom
Polymorph energy (0 for the lowest one): 16 meV/atom

a = 6.3132 Å, b = 6.3132 Å, c = 6.9557 Å
α = 90.00°, β = 90.00°, γ = 90.00°
Space group I4_1/amd (No. 141, origin choice 2)
Unique sites:
1 Li 0.0000 0.0000 0.0000
2 Cu 0.0000 0.2500 0.3750
3 F 0.0000 0.0419 0.7146

***

5.
Material: Li3CuF4
Method: DFT, PBE
State: optimized geometry

Calculated values
ΔH_f (0 K): -2626 meV per atom
Polymorph energy (0 for the lowest one): 0 meV/atom

a = 2.8802 Å, b = 2.8802 Å, c = 20.4522 Å
α = 90.00°, β = 90.00°, γ = 120.00°
Space group P6_3/mmc (No. 194)
Unique sites:
1 Li 0.0000 0.0000 0.0000
2 Li 0.3333 0.6667 0.1159
3 Cu 0.3333 0.6667 0.7500
4 F 0.0000 0.0000 0.1717
5 F 0.3333 0.6667 0.5581

***

6.
Material: Li5CuF6
Method: DFT, PBE
State: optimized geometry

Calculated values
ΔH_f (0 K): -2771 meV per atom
Polymorph energy (0 for the lowest one): 0 meV/atom

a = 5.1661 Å, b = 8.8813 Å, c = 5.1465 Å
α = 90.00°, β = 110.43°, γ = 90.00°
Space group C2/m (No. 12)
Unique sites:
1 Li 0.0000 0.0000 0.0000
2 Li 0.0000 0.1672 0.5000
3 Li 0.0000 0.3343 0.0000
4 Cu 0.0000 0.5000 0.5000
5 F 0.2338 0.0000 0.7705
6 F 0.2373 0.1772 0.2455

***

7.
Material: LiCu3F10
Method: DFT, PBE
State: optimized geometry

Calculated values
ΔH_f (0 K): -1793 meV per atom
Polymorph energy (0 for the lowest one): 14 meV/atom

a = 7.6039 Å, b = 14.3361 Å, c = 14.0655 Å
α = 90.00°, β = 104.79°, γ = 90.00°
Space group Cc (No. 9)
Unique sites:
1 Li 0.0000 0.1067 0.0000
2 Li 0.0862 0.2541 0.4266
3 Cu 0.0840 0.4356 0.5060
4 Cu 0.0946 0.0564 0.2688
5 Cu 0.1108 0.4571 0.7650
6 Cu 0.4530 0.1300 0.5788
7 Cu 0.4591 0.3756 0.0887
8 Cu 0.4632 0.2337 0.3209
9 F 0.0008 0.2643 0.1428
10 F 0.0184 0.1025 0.1414
11 F 0.0766 0.1661 0.8861
12 F 0.0859 0.4860 0.3797
13 F 0.0911 0.1461 0.3567
14 F 0.1166 0.4040 0.6412
15 F 0.1437 0.0560 0.7231
16 F 0.1559 0.1712 0.5551
17 F 0.1756 0.3334 0.8322
18 F 0.2375 0.4147 0.0977
19 F 0.2549 0.2936 0.3026
20 F 0.2560 0.3516 0.4901
21 F 0.3592 0.1164 0.2658
22 F 0.3683 0.4893 0.7868
23 F 0.3885 0.0210 0.5074
24 F 0.4146 0.1609 0.9634
25 F 0.4483 0.4677 0.0011
26 F 0.4518 0.1911 0.4652
27 F 0.4624 0.2778 0.1686
28 F 0.4741 0.0636 0.6951

***

8.
Material: Li2Cu2F7
Method: DFT, PBE
State: optimized geometry

Calculated values
ΔH_f (0 K): -2250 meV per atom
Polymorph energy (0 for the lowest one): 17 meV/atom

a = 7.4905 Å, b = 5.0635 Å, c = 12.9126 Å
α = 90.00°, β = 97.57°, γ = 90.00°
Space group P2_1 (No. 4)
Unique sites:
1 Li 0.1045 0.0000 0.0717
2 Li 0.2093 0.4420 0.3635
3 Li 0.2778 0.9759 0.5979
4 Li 0.3583 0.4656 0.9437
5 Cu 0.0273 0.4663 0.6088
6 Cu 0.0846 0.9711 0.8170
7 Cu 0.4204 0.4547 0.1816
8 Cu 0.4753 0.9632 0.3936
9 F 0.0184 0.1697 0.2670
10 F 0.0627 0.7962 0.9447
11 F 0.0691 0.2772 0.4749
12 F 0.1105 0.1307 0.6793
13 F 0.1327 0.2963 0.8838
14 F 0.1790 0.5882 0.2082
15 F 0.2221 0.8201 0.4140
16 F 0.2727 0.6036 0.6193
17 F 0.3211 0.2416 0.0695
18 F 0.3344 0.8227 0.8328
19 F 0.3785 0.1752 0.2780
20 F 0.4277 0.2748 0.4792
21 F 0.4436 0.7291 0.0867
22 F 0.4823 0.1461 0.6867

***

9.
Material: LiCuSO4F
Method: DFT, PBE
State: optimized geometry

Calculated values
ΔH_f (0 K): -1924 meV per atom

a = 13.0357 Å, b = 6.1605 Å, c = 10.1892 Å
α = 90.00°, β = 116.30°, γ = 90.00°
Space group C2/c (No. 15)
Unique sites:
1 Li 0.0443 0.2405 0.4940
2 Cu 0.1426 0.1020 0.8331
3 S 0.1710 0.4096 0.2928
4 O 0.0857 0.4476 0.1423
5 O 0.1413 0.2169 0.3592
6 O 0.1778 0.4066 0.8928
7 O 0.2118 0.1259 0.6973
8 F 0.0261 0.0925 0.8996

***

10.
Material: Li2CuSbF6
Method: DFT, PBE
State: optimized geometry

Calculated values
ΔH_f (0 K): -2174 meV per atom

a = 8.6609 Å, b = 8.6609 Å, c = 8.6609 Å
α = 90.00°, β = 90.00°, γ = 90.00°
Space group Fm-3m (No. 225)
Unique sites:
1 Li 0.2500 0.2500 0.2500
2 Cu 0.0000 0.0000 0.0000
3 Sb 0.0000 0.0000 0.5000
4 F 0.0000 0.0000 0.2473

***

11.
Material: Li2ScCuF6
Method: DFT, PBE
State: optimized geometry

Calculated values
ΔH_f (0 K): -2878 meV per atom

a = 8.3466 Å, b = 8.3466 Å, c = 8.3466 Å
α = 90.00°, β = 90.00°, γ = 90.00°
Space group Fm-3m (No. 225)
Unique sites:
1 Li 0.2500 0.2500 0.2500
2 Sc 0.0000 0.0000 0.0000
3 Cu 0.0000 0.0000 0.5000
4 F 0.0000 0.0000 0.2410

***

12.
Material: MgCuF5
Method: DFT, PBE
State: optimized geometry

Calculated values
ΔH_f (0 K): -2528 meV per atom

a = 8.5177 Å, b = 6.1366 Å, c = 7.4613 Å
α = 90.00°, β = 115.99°, γ = 90.00°
Space group C2/c (No. 15)
Unique sites:
1 Mg 0.0000 0.0396 0.2500
2 Cu 0.0000 0.5000 0.0000
3 F 0.0000 0.3882 0.2500
4 F 0.0155 0.1945 0.9610
5 F 0.2461 0.4785 0.6236

***

13.
Material: MgCuF5
Method: DFT, PBE
State: optimized geometry

Calculated values
ΔH_f (0 K): -2526 meV per atom

a = 5.1903 Å, b = 9.6468 Å, c = 7.2407 Å
α = 90.00°, β = 109.87°, γ = 90.00°
Space group P2_1/c (No. 14)
Unique sites:
1 Mg 0.0219 0.0136 0.2520
2 Cu 0.4030 0.2458 0.6028
3 F 0.1021 0.1119 0.5613
4 F 0.1358 0.1065 0.9987
5 F 0.3019 0.6300 0.3533
6 F 0.3427 0.1879 0.3370
7 F 0.3581 0.5947 0.8035

***

14.
Material: MgCu2O4F2
Method: DFT, PBE
State: optimized geometry

Calculated values
ΔH_f (0 K): -1275 meV per atom
Polymorph energy (0 for the lowest one): 0 meV/atom

a = 13.0871 Å, b = 3.3597 Å, c = 5.3176 Å
α = 90.00°, β = 108.99°, γ = 90.00°
Space group Cm (No. 8)
Unique sites:
1 Mg 0.0000 0.0000 0.0000
2 Cu 0.9999 0.5000 0.4984
3 Cu 0.2450 0.5000 0.6813
4 O 0.0731 0.0000 0.4136
5 O 0.0733 0.5000 0.8829
6 O 0.1879 0.5000 0.9611
7 O 0.1904 0.0000 0.5045
8 F 0.3942 0.5000 0.6351
9 F 0.4225 0.0000 0.0931